(1)
VASP calculation (PBE-GGA) on crystalline KMg6Ga at its relaxed geometry.

Summary:
- ΔH_f (0 K): 142.8 meV/atom
- ΔE to the lowest computed polymorph: 6 meV per atom

Lattice parameters (Å, degrees): 5.2073 6.7102 11.5899 90.00 90.00 90.00
Fractional coordinates of all 16 atoms:
1 Ga 0.0000 0.5000 0.8476
2 Mg 0.5000 0.2288 0.4160
3 Mg 0.0000 0.2451 0.5824
4 Mg 0.0000 0.2549 0.0824
5 Mg 0.5000 0.7288 0.9160
6 Mg 0.5000 0.0000 0.6539
7 Mg 0.5000 0.7712 0.4160
8 Ga 0.0000 0.0000 0.3476
9 Mg 0.0000 0.7451 0.0824
10 Mg 0.5000 0.5000 0.6679
11 Mg 0.5000 0.5000 0.1539
12 K 0.0000 0.0000 0.8339
13 K 0.0000 0.5000 0.3339
14 Mg 0.0000 0.7549 0.5824
15 Mg 0.5000 0.2712 0.9160
16 Mg 0.5000 0.0000 0.1679


(2)
VASP calculation (PBE-GGA) on crystalline KMg6Ga at its relaxed geometry.

Summary:
- ΔH_f (0 K): 137.0 meV/atom
- ΔE to the lowest computed polymorph: 0 meV per atom

Lattice parameters (Å, degrees): 5.1273 6.8372 11.7327 90.00 90.00 90.00
Fractional coordinates of all 16 atoms:
1 Mg 0.5000 0.7267 0.0729
2 Mg 0.0000 0.7389 0.9178
3 K 0.0000 0.0000 0.1706
4 K 0.0000 0.5000 0.6706
5 Mg 0.0000 0.7611 0.4178
6 Mg 0.5000 0.0000 0.8332
7 Ga 0.5000 0.0000 0.3511
8 Ga 0.5000 0.5000 0.8511
9 Mg 0.5000 0.5000 0.3332
10 Mg 0.0000 0.0000 0.6637
11 Mg 0.5000 0.2733 0.0729
12 Mg 0.0000 0.2611 0.9178
13 Mg 0.0000 0.2389 0.4178
14 Mg 0.5000 0.7733 0.5729
15 Mg 0.0000 0.5000 0.1637
16 Mg 0.5000 0.2267 0.5729


(3)
VASP calculation (PBE-GGA) on crystalline KMg14GaO16 at its relaxed geometry.

Summary:
- ΔH_f (0 K): -2803.5 meV/atom
- Energy with MP2020 corrections: -6.11 eV per atom
- ΔE to the lowest computed polymorph: 18 meV per atom
- SG: P4/mmm

Lattice parameters (Å, degrees): 8.6029 8.6029 4.3925 90.00 90.00 90.00
Fractional coordinates of all 32 atoms:
1 O 0.7234 0.0000 0.0000
2 Mg 0.0000 0.2494 0.5000
3 O 0.5000 0.2660 0.0000
4 O 0.0000 0.2766 0.0000
5 O 0.2515 0.7485 0.5000
6 Mg 0.2473 0.2473 0.0000
7 Mg 0.7530 0.5000 0.5000
8 O 0.7340 0.5000 0.0000
9 Mg 0.0000 0.7506 0.5000
10 O 0.2660 0.5000 0.0000
11 Mg 0.5000 0.7530 0.5000
12 O 0.2515 0.2515 0.5000
13 Mg 0.7527 0.2473 0.0000
14 Ga 0.5000 0.5000 0.0000
15 O 0.0000 0.0000 0.5000
16 Mg 0.2473 0.7527 0.0000
17 Mg 0.2470 0.5000 0.5000
18 O 0.5000 0.5000 0.5000
19 Mg 0.2494 0.0000 0.5000
20 O 0.0000 0.7234 0.0000
21 Mg 0.5000 0.2470 0.5000
22 Mg 0.0000 0.5000 0.0000
23 O 0.2766 0.0000 0.0000
24 Mg 0.7506 0.0000 0.5000
25 O 0.7485 0.2515 0.5000
26 Mg 0.5000 0.0000 0.0000
27 O 0.7485 0.7485 0.5000
28 O 0.0000 0.5000 0.5000
29 K 0.0000 0.0000 0.0000
30 Mg 0.7527 0.7527 0.0000
31 O 0.5000 0.0000 0.5000
32 O 0.5000 0.7340 0.0000